Here is crystalline CsNdMo2O8 at its relaxed geometry from the Materials Project. Energies are from GGA+U.

The structure belongs to space group P2/c (No. 13); the cell edges are 9.9511, 5.1751 and 8.5219 Å and the angles 90.00°, 91.77° and 90.00°. The asymmetric unit holds Cs at (0.0000, 0.0319, 0.2500), Nd at (0.5000, 0.0044, 0.7500), Mo at (0.3066, 0.4776, 0.4921), O at (0.1450, 0.3883, 0.9840), O at (0.3152, 0.2663, 0.6611), O at (0.3178, 0.2665, 0.3241) and O at (0.4311, 0.2540, 0.9968).

For the formation energy, the calculation gives -244.1 kJ/mol of atoms.